Compound: MnH2C2O4
Source: the Materials Project database
Functional: PBE with a Hubbard U
Structure: relaxed

Results
The calculation puts the magnetization at 5.00 μB/f.u. Its energy of formation is -1413 meV per atom.

abc: 7.644 9.647 5.940
angles: 90.00 90.00 90.00
Space group Pbcn (No. 60)
Unique sites:
Mn 0.000 0.106 0.250 x4
H 0.165 0.412 0.191 x8
C 0.221 0.369 0.347 x8
O 0.152 0.063 0.935 x8
O 0.158 0.259 0.427 x8